[1]
# KGdMo2O8, relaxed, DFT PBE+U
data_KGdMo2O8
_chemical_formula_sum 'K4 Gd4 Mo8 O32'
_symmetry_space_group_name_H-M 'P b c n'
_symmetry_Int_Tables_number 60
_symmetry_space_group_name_Hall '-P 2n 2ab'
_cell_length_a 5.193
_cell_length_b 18.520
_cell_length_c 8.226
_cell_angle_alpha 90.00
_cell_angle_beta 90.00
_cell_angle_gamma 90.00
loop_
_atom_site_label
_atom_site_fract_x
_atom_site_fract_y
_atom_site_fract_z
_atom_site_occupancy
K1 0.000 0.230 0.250 1
Gd1 0.000 0.006 0.750 1
Mo1 0.023 0.399 0.517 1
O1 0.102 0.311 0.975 1
O2 0.228 0.400 0.340 1
O3 0.243 0.407 0.688 1
O4 0.248 0.465 0.004 1
# ΔH_f (0 K) ... -2.533 eV/atom
# Electronic total energy ... -7.913 eV/atom

[2]
# MnP2O7, relaxed, DFT PBE+U
data_MnP2O7
_chemical_formula_sum 'Mn4 P8 O28'
_symmetry_space_group_name_H-M 'P -1'
_symmetry_Int_Tables_number 2
_symmetry_space_group_name_Hall '-P 1'
_cell_length_a 6.266
_cell_length_b 9.664
_cell_length_c 10.631
_cell_angle_alpha 65.09
_cell_angle_beta 80.23
_cell_angle_gamma 73.65
loop_
_atom_site_label
_atom_site_fract_x
_atom_site_fract_y
_atom_site_fract_z
_atom_site_occupancy
Mn1 0.122 0.252 0.249 1
Mn2 0.214 0.615 0.272 1
P1 0.089 0.658 0.034 1
P2 0.197 0.284 0.529 1
P3 0.399 0.641 0.797 1
P4 0.417 0.882 0.294 1
O1 0.062 0.268 0.668 1
O2 0.067 0.521 0.181 1
O3 0.100 0.232 0.440 1
O4 0.107 0.284 0.051 1
O5 0.150 0.772 0.081 1
O6 0.194 0.739 0.713 1
O7 0.213 0.005 0.308 1
O8 0.242 0.449 0.454 1
O9 0.305 0.586 0.958 1
O10 0.374 0.722 0.324 1
O11 0.429 0.158 0.576 1
O12 0.438 0.255 0.222 1
O13 0.463 0.041 0.843 1
O14 0.500 0.484 0.781 1
# ΔH_f (0 K) ... -2.311 eV/atom
# Electronic total energy ... -7.126 eV/atom
# Energy relative to the lowest polymorph listed for this composition ... 73 meV per atom

[3]
# MgMn6O9F3, relaxed, DFT PBE+U
data_MgMn6O9F3
_chemical_formula_sum 'Mg1 Mn6 O9 F3'
_symmetry_space_group_name_H-M 'P 1 m 1'
_symmetry_Int_Tables_number 6
_symmetry_space_group_name_Hall 'P -2y'
_cell_length_a 5.094
_cell_length_b 8.931
_cell_length_c 5.184
_cell_angle_alpha 90.00
_cell_angle_beta 101.95
_cell_angle_gamma 90.00
loop_
_atom_site_label
_atom_site_fract_x
_atom_site_fract_y
_atom_site_fract_z
_atom_site_occupancy
Mg1 0.000 0.000 0.000 1
Mn1 0.502 0.000 0.954 1
Mn2 0.521 0.335 0.951 1
Mn3 0.960 0.175 0.502 1
Mn4 0.993 0.500 0.481 1
O1 0.166 0.000 0.684 1
O2 0.202 0.330 0.654 1
O3 0.369 0.500 0.083 1
O4 0.692 0.150 0.822 1
O5 0.794 0.000 0.283 1
O6 0.805 0.333 0.277 1
F1 0.296 0.146 0.132 1
F2 0.723 0.500 0.759 1
# ΔH_f (0 K) ... -2.153 eV/atom
# Electronic total energy ... -6.851 eV/atom
# Energy relative to the lowest polymorph listed for this composition ... 5 meV per atom

[4]
# Li3Mn2Cr2O8, relaxed, DFT PBE+U
data_Li3Mn2Cr2O8
_chemical_formula_sum 'Li3 Mn2 Cr2 O8'
_symmetry_space_group_name_H-M 'P -1'
_symmetry_Int_Tables_number 2
_symmetry_space_group_name_Hall '-P 1'
_cell_length_a 5.876
_cell_length_b 5.882
_cell_length_c 5.913
_cell_angle_alpha 118.88
_cell_angle_beta 119.17
_cell_angle_gamma 90.42
loop_
_atom_site_label
_atom_site_fract_x
_atom_site_fract_y
_atom_site_fract_z
_atom_site_occupancy
Li1 0.000 0.000 0.000 1
Li2 0.000 0.500 0.500 1
Li3 0.500 0.000 0.000 1
Mn1 0.500 0.000 0.500 1
Mn2 0.500 0.500 0.000 1
Cr1 0.000 0.500 0.000 1
Cr2 0.500 0.500 0.500 1
O1 0.250 0.720 0.983 1
O2 0.264 0.740 0.473 1
O3 0.272 0.286 0.032 1
O4 0.289 0.268 0.540 1
# ΔH_f (0 K) ... -2.197 eV/atom
# Electronic total energy ... -6.871 eV/atom

[5]
# MgFe2Co4O8, relaxed, DFT PBE+U
data_MgFe2Co4O8
_chemical_formula_sum 'Mg2 Fe4 Co8 O16'
_symmetry_space_group_name_H-M 'C 1 2/m 1'
_symmetry_Int_Tables_number 12
_symmetry_space_group_name_Hall '-C 2y'
_cell_length_a 10.344
_cell_length_b 5.954
_cell_length_c 6.235
_cell_angle_alpha 90.00
_cell_angle_beta 122.08
_cell_angle_gamma 90.00
loop_
_atom_site_label
_atom_site_fract_x
_atom_site_fract_y
_atom_site_fract_z
_atom_site_occupancy
Mg1 0.000 0.000 0.000 1
Fe1 0.250 0.250 0.000 1
Co1 0.000 0.500 0.000 1
Co2 0.000 0.500 0.500 1
Co3 0.141 0.000 0.459 1
O1 0.012 0.245 0.762 1
O2 0.228 0.500 0.187 1
O3 0.239 0.000 0.228 1
# ΔH_f (0 K) ... -1.483 eV/atom
# Electronic total energy ... -6.150 eV/atom
# Energy relative to the lowest polymorph listed for this composition ... 0 meV per atom

[6]
# Sr2MgMnO4, relaxed, DFT PBE+U
data_Sr2MgMnO4
_chemical_formula_sum 'Sr4 Mg2 Mn2 O8'
_symmetry_space_group_name_H-M 'C 1 m 1'
_symmetry_Int_Tables_number 8
_symmetry_space_group_name_Hall 'C -2y'
_cell_length_a 5.523
_cell_length_b 5.525
_cell_length_c 7.759
_cell_angle_alpha 90.00
_cell_angle_beta 90.19
_cell_angle_gamma 90.00
loop_
_atom_site_label
_atom_site_fract_x
_atom_site_fract_y
_atom_site_fract_z
_atom_site_occupancy
Sr1 0.000 0.000 0.000 1
Sr2 0.001 0.500 0.336 1
Mg1 0.001 0.500 0.775 1
Mn1 0.000 0.000 0.596 1
O1 0.004 0.500 0.035 1
O2 0.005 0.000 0.325 1
O3 0.251 0.250 0.708 1
# ΔH_f (0 K) ... -2.697 eV/atom
# Electronic total energy ... -6.387 eV/atom
# Energy relative to the lowest polymorph listed for this composition ... 0 meV per atom

[7]
# MgW4O9, relaxed, DFT PBE+U
data_MgW4O9
_chemical_formula_sum 'Mg2 W8 O18'
_symmetry_space_group_name_H-M 'P 4/n'
_symmetry_Int_Tables_number 85
_cell_length_a 9.720
_cell_length_b 9.720
_cell_length_c 3.910
_cell_angle_alpha 90.00
_cell_angle_beta 90.00
_cell_angle_gamma 90.00
loop_
_symmetry_equiv_pos_as_xyz
'x,y,z'
'-x,-y,-z'
'-y+1/2,x,z'
'y+1/2,-x,-z'
'-x+1/2,-y+1/2,z'
'x+1/2,y+1/2,-z'
'y,-x+1/2,z'
'-y,x+1/2,-z'
loop_
_atom_site_label
_atom_site_fract_x
_atom_site_fract_y
_atom_site_fract_z
_atom_site_occupancy
Mg1 0.250 0.250 0.024 1
W1 0.031 0.664 0.477 1
O1 0.017 0.127 0.516 1
O2 0.031 0.313 0.019 1
O3 0.250 0.750 0.500 1
# ΔH_f (0 K) ... -1.794 eV/atom
# Electronic total energy ... -7.082 eV/atom

[8]
# MgCo4Cu2O8, relaxed, DFT PBE+U
data_MgCo4Cu2O8
_chemical_formula_sum 'Mg2 Co8 Cu4 O16'
_symmetry_space_group_name_H-M 'C 1 m 1'
_symmetry_Int_Tables_number 8
_symmetry_space_group_name_Hall 'C -2y'
_cell_length_a 11.677
_cell_length_b 5.622
_cell_length_c 5.872
_cell_angle_alpha 90.00
_cell_angle_beta 117.99
_cell_angle_gamma 90.00
loop_
_atom_site_label
_atom_site_fract_x
_atom_site_fract_y
_atom_site_fract_z
_atom_site_occupancy
Mg1 0.000 0.000 0.000 1
Co1 0.033 0.000 0.511 1
Co2 0.206 0.257 0.159 1
Co3 0.255 0.500 0.697 1
Cu1 0.398 0.000 0.604 1
Cu2 0.401 0.000 0.099 1
O1 0.143 0.000 0.897 1
O2 0.154 0.000 0.341 1
O3 0.173 0.500 0.333 1
O4 0.189 0.500 0.934 1
O5 0.389 0.234 0.840 1
O6 0.400 0.234 0.350 1
# ΔH_f (0 K) ... -1.111 eV/atom
# Electronic total energy ... -5.495 eV/atom
# Energy relative to the lowest polymorph listed for this composition ... 133 meV per atom